Computed, not measured: a relaxed structure of Sr2SiO4 at the PBE level of DFT.

abc: 7.142 5.683 9.944
angles: 90.00 90.00 90.00
Space group Pnma (No. 62)
Symmetry-distinct sites (fractional):
Sr: 0.000 0.250 0.197 (multiplicity 4)
Sr: 0.157 0.250 0.571 (multiplicity 4)
Si: 0.220 0.250 0.919 (multiplicity 4)
O: 0.008 0.750 0.071 (multiplicity 4)
O: 0.181 0.750 0.572 (multiplicity 4)
O: 0.202 0.512 0.343 (multiplicity 8)

Calculated values
**Formation enthalpy at 0 K**: -329 kJ per mole of atoms
**Total DFT energy (no corrections)**: -198.978 eV per cell